Model a:
Li6MnV3P6O24, optimized geometry, DFT GGA+U; density = 3.15 g/cm3
1.0
5.866 -6.325 0.000
5.866 6.325 0.000
-5.159 0.000 11.655
Li Mn V P O
12 2 6 12 48
Cartesian
0.000 0.000 0.000
4.581 6.172 2.892
1.991 6.172 8.763
5.866 2.627 0.000
3.286 2.605 5.827
5.216 -0.087 1.440
3.930 -0.078 4.369
2.642 -0.078 7.286
1.356 -0.087 10.214
4.568 -2.765 2.895
2.004 -2.765 8.759
3.286 -6.316 5.827
-2.318 -2.087 10.976
8.890 -2.087 0.678
-1.028 1.963 8.117
1.551 1.952 2.270
0.271 -2.121 5.188
7.600 1.963 3.538
5.021 1.952 9.385
6.302 -2.121 6.466
-2.097 1.198 10.989
0.507 1.195 5.165
4.561 2.632 2.912
2.011 2.632 8.742
1.802 -1.353 2.244
-0.776 -1.349 8.082
6.065 1.195 6.489
8.669 1.198 0.666
5.866 -2.793 0.000
3.286 -2.791 5.827
7.348 -1.349 3.573
4.770 -1.353 9.410
-2.201 2.037 9.672
0.367 1.998 3.843
-0.145 2.124 6.272
2.410 2.075 0.460
-3.012 -0.053 10.762
-1.664 -0.065 7.920
0.915 -0.068 2.102
-0.375 -0.095 4.998
4.613 3.515 1.620
2.050 3.542 7.485
4.522 3.542 4.170
1.959 3.515 10.035
3.359 1.659 3.030
0.791 1.676 8.845
-0.654 0.921 11.373
1.950 0.934 5.562
1.647 -2.131 0.900
-0.926 -2.147 6.753
1.153 -2.290 3.352
-1.422 -2.299 9.186
0.664 -1.083 8.467
3.244 -1.095 2.646
5.781 1.676 2.809
3.214 1.659 8.624
4.644 -1.822 0.108
2.074 -1.820 5.932
4.622 0.934 6.092
7.227 0.921 0.281
6.717 2.124 5.383
4.162 2.075 11.195
8.773 2.037 1.983
6.206 1.998 7.812
3.329 -1.095 9.009
5.908 -1.083 3.187
4.499 -1.820 5.722
1.928 -1.822 11.547
3.333 -3.686 4.563
0.766 -3.690 10.389
5.806 -3.690 1.266
3.240 -3.686 7.092
5.657 -0.068 9.552
8.236 -0.065 3.735
6.947 -0.095 6.657
9.584 -0.053 0.893
7.995 -2.299 2.468
5.419 -2.290 8.302
7.498 -2.147 4.901
4.925 -2.131 10.754

***

Model b:
Li6MnV3P6O24, optimized geometry, DFT GGA+U; density = 2.85 g/cm3
1.0
8.679 0.000 0.000
-4.186 7.653 0.000
-4.338 -2.593 7.180
Li Mn V P O
6 1 3 6 24
Cartesian
0.000 0.000 0.000
-1.833 3.301 0.852
-4.224 4.288 6.090
1.391 1.681 5.030
2.563 4.615 2.714
5.667 0.128 2.787
4.216 1.784 0.636
-3.706 6.373 2.741
-3.763 1.273 6.352
-0.044 4.239 4.202
-2.004 -1.344 4.958
-3.209 3.180 3.516
1.110 2.052 1.886
-0.516 6.056 1.501
2.325 -0.840 5.645
-0.553 2.340 7.088
-4.116 4.401 3.189
-1.408 -0.997 3.539
-2.980 -0.185 5.236
-3.633 2.728 4.931
0.204 2.785 0.851
0.660 0.586 1.841
-0.403 5.377 0.108
-1.994 5.957 1.868
-1.726 3.612 3.432
-0.937 -1.557 6.037
1.347 -0.694 4.474
-2.022 1.967 7.074
0.968 2.656 3.313
2.604 2.282 1.545
4.231 -0.160 1.371
0.385 5.368 2.568
-0.021 2.953 5.760
1.618 -1.227 7.000
3.376 -1.959 5.467
4.709 3.701 0.153
2.958 0.578 5.837
3.968 6.024 0.998
1.760 4.939 4.830
5.321 2.038 2.492

***

Model c:
Li6MnV3P6O24, optimized geometry, DFT GGA+U; density = 2.99 g/cm3
1.0
8.591 0.000 0.000
-0.095 8.779 0.000
-0.214 -0.057 12.046
Li Mn V P O
12 2 6 12 48
Cartesian
0.000 0.000 0.000
0.006 3.724 4.131
0.746 6.391 10.006
1.959 2.008 11.744
2.860 8.102 5.564
2.957 4.363 9.711
4.138 4.600 6.013
4.238 0.821 10.164
5.137 6.934 3.982
6.357 2.546 5.716
7.088 5.204 11.592
7.402 0.212 3.675
1.552 4.811 0.529
5.689 4.702 9.153
1.367 4.237 6.603
1.380 0.374 9.170
1.477 8.631 3.104
5.830 0.358 0.572
5.737 4.189 3.141
5.721 8.551 6.543
0.297 1.116 6.023
0.235 3.470 9.642
2.622 5.512 3.654
2.666 7.920 0.068
3.166 6.682 7.976
3.933 2.275 7.733
4.460 3.405 12.043
4.646 1.066 3.610
6.874 5.445 6.090
6.790 7.802 9.686
7.563 6.689 1.952
8.323 2.311 1.726
0.217 1.324 2.826
0.374 2.665 5.815
0.318 4.507 10.850
0.493 0.775 7.499
0.741 2.086 10.128
0.992 2.935 1.051
1.316 0.342 5.154
1.285 4.026 8.620
1.608 8.441 1.097
1.622 4.728 4.530
1.896 7.314 8.637
1.977 6.471 11.618
2.456 5.194 2.162
2.443 0.114 10.924
2.522 7.059 3.874
2.703 5.701 6.860
3.011 3.729 11.567
3.119 3.024 6.659
3.218 1.062 3.077
3.144 1.225 8.533
3.942 5.955 9.087
3.954 7.749 7.202
4.093 7.930 0.603
4.095 5.170 4.092
4.412 3.256 8.867
4.578 1.855 11.845
4.747 0.033 4.798
4.849 3.797 1.479
5.117 2.460 4.097
5.183 1.642 7.064
5.484 4.206 11.206
5.704 0.544 2.583
5.813 4.902 7.099
5.777 8.576 10.560
6.315 6.059 2.645
6.390 6.841 5.604
6.601 8.156 8.219
6.803 4.428 4.885
6.735 6.238 9.878
7.079 7.677 0.852
7.421 0.775 5.578
7.528 1.563 0.627
7.516 3.364 2.497
7.413 3.462 9.097
8.348 5.631 1.177
8.302 5.442 6.625
8.365 7.433 3.046
8.257 8.145 10.143

***

Which of them is most stable, and which least? Most stable: model c; least stable: model a.

***

Model a:
Li6MnV3P6O24, optimized geometry, DFT GGA+U; density = 2.88 g/cm3
1.0
8.485 0.000 0.000
-4.243 8.014 0.000
-0.119 -4.638 13.892
Li Mn V P O
12 2 6 12 48
Cartesian
-1.450 2.424 1.137
-2.589 3.871 4.012
-1.149 1.026 5.295
1.085 4.651 1.648
2.519 1.827 2.932
1.395 3.266 5.807
2.728 0.111 8.085
1.605 1.550 10.961
3.039 -1.274 12.244
5.273 2.350 8.597
6.712 -0.495 9.881
5.573 0.952 12.756
-0.052 -0.336 2.463
4.175 3.712 11.429
-0.064 0.975 7.998
-0.103 0.093 12.835
-0.029 5.995 4.467
4.153 -2.619 9.425
4.227 3.283 1.057
4.187 2.401 5.894
-1.799 5.440 1.732
-1.293 3.787 6.667
-1.316 2.446 10.708
1.155 -1.374 10.113
1.241 1.921 0.267
1.736 0.251 5.194
2.387 3.126 8.698
2.882 1.455 13.626
2.968 4.750 3.779
5.440 0.931 3.184
5.417 -0.410 7.225
5.923 -2.063 12.160
-1.727 -0.747 11.872
-2.735 3.262 6.902
-2.716 2.324 11.368
-1.473 1.671 9.334
0.729 -2.799 10.325
0.757 -3.763 13.100
-2.572 6.687 2.095
0.459 0.408 4.303
0.104 -0.602 9.250
-1.384 5.462 0.233
0.225 3.137 0.232
-1.158 4.384 5.243
1.122 1.349 1.687
-0.287 2.552 6.685
1.319 0.221 6.687
-0.523 5.260 2.610
-0.266 1.692 11.575
2.535 -0.982 4.844
-0.919 4.796 7.730
-0.896 3.879 10.460
1.297 -0.605 11.496
2.560 -1.257 9.467
2.683 2.450 0.014
1.565 1.800 8.968
2.558 1.576 4.924
1.440 0.927 13.879
1.564 4.633 4.425
2.827 3.981 2.396
5.019 -0.503 3.433
5.042 -1.420 6.163
1.589 4.359 9.048
4.389 1.684 2.318
4.647 -1.884 11.283
2.805 3.156 7.206
4.411 0.824 7.208
3.002 2.027 12.205
5.281 -1.008 8.649
3.899 0.240 13.660
5.508 -2.085 13.659
4.020 3.978 4.642
3.664 2.968 9.589
6.695 -3.311 11.798
3.366 7.139 0.792
3.394 6.175 3.568
5.597 1.705 4.559
6.839 1.052 2.525
6.858 0.114 6.990
5.850 4.123 2.021

***

Model b:
Li6MnV3P6O24, optimized geometry, DFT GGA+U; density = 2.92 g/cm3
1.0
8.506 0.000 0.000
0.016 8.849 0.000
0.487 0.000 12.380
Li Mn V P O
12 2 6 12 48
Cartesian
0.000 0.000 0.000
0.133 0.861 3.069
0.310 8.824 6.177
0.436 7.956 9.278
2.048 6.101 5.585
2.313 2.681 11.820
4.351 3.479 3.080
4.761 4.367 12.379
4.549 4.379 6.176
4.686 5.272 9.295
6.808 6.117 0.615
7.071 2.673 6.788
1.923 4.457 1.765
6.179 8.786 1.822
2.210 4.360 7.944
2.669 8.817 4.401
2.927 8.810 10.599
6.453 8.817 7.973
6.891 4.413 4.434
7.147 4.365 10.621
0.147 7.007 3.116
0.428 1.802 9.283
1.532 3.082 4.919
1.785 5.690 11.079
3.288 7.531 7.478
3.070 1.230 1.295
4.400 6.150 3.085
4.671 2.589 9.286
5.828 1.253 4.904
6.089 7.533 11.068
7.590 5.692 7.461
7.381 3.106 1.274
0.572 5.332 7.307
0.382 3.488 1.125
0.797 7.968 4.157
1.072 0.857 10.355
1.119 6.196 2.274
1.404 2.666 8.505
1.562 1.536 5.097
1.831 7.235 11.254
2.358 5.255 9.708
2.147 3.520 3.577
2.395 3.831 5.985
2.414 8.006 6.274
2.541 7.966 8.755
2.190 0.749 0.106
2.673 4.920 12.098
2.327 0.801 2.578
3.370 5.970 7.299
3.182 2.781 1.122
3.378 7.010 3.838
3.623 1.755 10.037
3.729 5.181 2.029
4.060 3.561 8.225
4.403 0.737 4.869
4.663 8.058 11.079
4.721 8.034 7.484
4.515 0.704 1.289
5.011 5.170 4.145
5.292 3.557 10.353
5.456 6.910 2.282
5.722 1.757 8.537
5.970 5.972 11.224
5.738 2.812 5.093
6.817 7.958 9.774
6.692 0.771 6.109
6.706 4.945 6.411
6.606 0.858 3.631
6.505 3.868 0.228
6.997 7.990 12.248
6.998 5.236 8.819
6.791 3.559 2.629
7.553 7.236 7.295
7.386 1.574 1.105
7.697 6.126 3.901
7.947 2.670 10.058
7.966 7.957 2.046
8.286 0.851 8.223
8.540 3.447 5.056
8.792 5.347 11.230

***

Which of them is most stable, and which least? Most stable: model a; least stable: model b.